Entry 1:
K3AsO4: optimized geometry, PBE.

Cell: 8.1623 8.1623 18.2216 Å, 90.00 90.00 95.38°
With the nearest neighbours (Å) after each atom.
Positions (direct):
1 K 0.0000 0.0000 0.6010  4 O 2.53-2.63
2 K 0.0000 0.5000 0.8459  6 O 2.58-2.72
3 K 0.0000 0.0000 0.3990  4 O 2.53-2.63
4 K 0.5000 0.0000 0.8917  6 O 2.93-3.05
5 K 0.6956 0.1933 0.5000  2 O 2.56-2.83
6 K 0.5000 0.0000 0.3459  6 O 2.58-2.72
7 K 0.2037 0.2037 0.7500  2 O 2.65
8 K 0.7963 0.7963 0.7500  2 O 2.65
9 K 0.0000 0.5000 0.1541  6 O 2.58-2.72
10 K 0.8067 0.3044 0.0000  2 O 2.56-2.83
11 K 0.5000 0.0000 0.1083  6 O 2.93-3.05
12 K 0.5000 0.5000 0.3635  6 O 2.89-3.05
13 K 0.0000 0.5000 0.3917  6 O 2.93-3.05
14 K 0.5000 0.5000 0.1365  6 O 2.89-3.05
15 K 0.5000 0.0000 0.6541  6 O 2.58-2.72
16 K 0.0000 0.0000 0.8990  4 O 2.53-2.63
17 K 0.2037 0.2037 0.2500  2 O 2.65
18 K 0.0000 0.5000 0.6083  6 O 2.93-3.05
19 K 0.5000 0.5000 0.8635  6 O 2.89-3.05
20 K 0.7963 0.7963 0.2500  2 O 2.65
21 K 0.3044 0.8067 0.5000  2 O 2.56-2.83
22 K 0.5000 0.5000 0.6365  6 O 2.89-3.05
23 K 0.0000 0.0000 0.1010  4 O 2.53-2.63
24 K 0.1933 0.6956 0.0000  2 O 2.56-2.83
25 As 0.2551 0.2799 0.5000  4 O 1.72-1.74
26 As 0.7449 0.7201 0.5000  4 O 1.72-1.74
27 As 0.2626 0.7374 0.2500  4 O 1.73
28 As 0.2626 0.7374 0.7500  4 O 1.73
29 As 0.7374 0.2626 0.7500  4 O 1.73
30 As 0.7374 0.2626 0.2500  4 O 1.73
31 As 0.7201 0.7449 0.0000  4 O 1.72-1.74
32 As 0.2799 0.2551 0.0000  4 O 1.72-1.74
33 O 0.2212 0.5282 0.2645  1 As 1.73
34 O 0.8039 0.1596 0.6740  1 As 1.73
35 O 0.1977 0.3403 0.0771  1 As 1.73
36 O 0.5282 0.2212 0.2355  1 As 1.73
37 O 0.4919 0.2838 0.0000  1 As 1.72
38 O 0.1596 0.8039 0.1740  1 As 1.73
39 O 0.1961 0.8404 0.3260  1 As 1.73
40 O 0.1961 0.8404 0.6740  1 As 1.73
41 O 0.7788 0.4718 0.7355  1 As 1.73
42 O 0.0432 0.2294 0.5000  1 As 1.74
43 O 0.5081 0.7162 0.0000  1 As 1.72
44 O 0.8404 0.1961 0.1740  1 As 1.73
45 O 0.7162 0.5081 0.5000  1 As 1.72
46 O 0.8023 0.6597 0.9229  1 As 1.73
47 O 0.9568 0.7706 0.5000  1 As 1.74
48 O 0.6597 0.8023 0.5771  1 As 1.73
49 O 0.3403 0.1977 0.4229  1 As 1.73
50 O 0.8404 0.1961 0.8260  1 As 1.73
51 O 0.1977 0.3403 0.9229  1 As 1.73
52 O 0.2838 0.4919 0.5000  1 As 1.72
53 O 0.2212 0.5282 0.7355  1 As 1.73
54 O 0.3403 0.1977 0.5771  1 As 1.73
55 O 0.5282 0.2212 0.7645  1 As 1.73
56 O 0.8023 0.6597 0.0771  1 As 1.73
57 O 0.7706 0.9568 0.0000  1 As 1.74
58 O 0.7788 0.4718 0.2645  1 As 1.73
59 O 0.1596 0.8039 0.8260  1 As 1.73
60 O 0.4718 0.7788 0.2355  1 As 1.73
61 O 0.2294 0.0432 0.0000  1 As 1.74
62 O 0.8039 0.1596 0.3260  1 As 1.73
63 O 0.4718 0.7788 0.7645  1 As 1.73
64 O 0.6597 0.8023 0.4229  1 As 1.73

Values from the calculation:
ΔH_f (0 K) (meV per atom): -2033
ρ (g/cm³): 2.82
Total DFT energy (no corrections) (eV per formula unit): -41.3
Symmetry: No. 66

Entry 2:
K5As3O10: optimized geometry, PBE.

Cell: 8.1369 8.1421 19.6577 Å, 90.00 90.00 90.00°
With the nearest neighbours (Å) after each atom.
Positions (direct):
1 K 0.2741 0.4745 0.9836  3 O 2.70-2.85
2 K 0.7741 0.0255 0.0164  3 O 2.70-2.85
3 K 0.7259 0.9745 0.5164  3 O 2.70-2.85
4 K 0.2259 0.5255 0.4836  3 O 2.70-2.85
5 K 0.2076 0.4988 0.2796  6 O 2.72-2.96
6 K 0.7076 0.0012 0.7204  6 O 2.72-2.96
7 K 0.7924 0.9988 0.2204  6 O 2.72-2.96
8 K 0.2924 0.5012 0.7796  6 O 2.72-2.96
9 K 0.7506 0.4973 0.9987  6 O 2.70-2.96
10 K 0.2506 0.0027 0.0013  6 O 2.70-2.96
11 K 0.2494 0.9973 0.5013  6 O 2.70-2.96
12 K 0.7494 0.5027 0.4987  6 O 2.70-2.96
13 K 0.7573 0.5146 0.2443  6 O 2.77-3.03
14 K 0.2573 0.9854 0.7557  6 O 2.77-3.03
15 K 0.2427 0.0146 0.2557  6 O 2.77-3.03
16 K 0.7427 0.4854 0.7443  6 O 2.77-3.03
17 K 0.9904 0.7420 0.8730  6 O 2.68-2.84
18 K 0.4904 0.7580 0.1270  6 O 2.68-2.84
19 K 0.0096 0.2420 0.6270  6 O 2.68-2.84
20 K 0.5096 0.2580 0.3730  6 O 2.68-2.84
21 As 0.4806 0.2675 0.1444  4 O 1.69-1.86
22 As 0.9806 0.2325 0.8556  4 O 1.69-1.86
23 As 0.5194 0.7675 0.3556  4 O 1.69-1.86
24 As 0.0194 0.7325 0.6444  4 O 1.69-1.86
25 As 0.0280 0.7235 0.1025  4 O 1.69-1.87
26 As 0.5280 0.7765 0.8975  4 O 1.69-1.87
27 As 0.9720 0.2235 0.3975  4 O 1.69-1.87
28 As 0.4720 0.2765 0.6025  4 O 1.69-1.87
29 As 0.0757 0.3207 0.1259  4 O 1.68-1.80
30 As 0.5757 0.1793 0.8741  4 O 1.68-1.80
31 As 0.9243 0.8207 0.3741  4 O 1.68-1.80
32 As 0.4243 0.6793 0.6259  4 O 1.68-1.80
33 O 0.8341 0.7248 0.1343  1 As 1.70
34 O 0.3341 0.7752 0.8657  1 As 1.70
35 O 0.1659 0.2248 0.3657  1 As 1.70
36 O 0.6659 0.2752 0.6343  1 As 1.70
37 O 0.0306 0.7146 0.0157  1 As 1.71
38 O 0.5306 0.7854 0.9843  1 As 1.71
39 O 0.9694 0.2146 0.4843  1 As 1.71
40 O 0.4694 0.2854 0.5157  1 As 1.71
41 O 0.6592 0.6342 0.8660  1 As 1.69
42 O 0.1592 0.8658 0.1340  1 As 1.69
43 O 0.3408 0.1342 0.6340  1 As 1.69
44 O 0.8408 0.3658 0.3660  1 As 1.69
45 O 0.1353 0.5334 0.1328  2 As 1.80-1.87
46 O 0.6353 0.9666 0.8672  2 As 1.80-1.87
47 O 0.8647 0.0334 0.3672  2 As 1.80-1.87
48 O 0.3647 0.4666 0.6328  2 As 1.80-1.87
49 O 0.5444 0.4387 0.1036  1 As 1.69
50 O 0.9710 0.2826 0.0541  1 As 1.68
51 O 0.0444 0.0613 0.8964  1 As 1.69
52 O 0.9556 0.5613 0.6036  1 As 1.69
53 O 0.0727 0.4120 0.8774  1 As 1.70
54 O 0.5727 0.0880 0.1226  1 As 1.70
55 O 0.9273 0.9120 0.6226  1 As 1.70
56 O 0.4273 0.5880 0.3774  1 As 1.70
57 O 0.7708 0.2715 0.8901  2 As 1.78-1.86
58 O 0.2708 0.2285 0.1099  2 As 1.78-1.86
59 O 0.2292 0.7715 0.6099  2 As 1.78-1.86
60 O 0.7292 0.7285 0.3901  2 As 1.78-1.86
61 O 0.4619 0.2908 0.2305  1 As 1.71
62 O 0.9619 0.2092 0.7695  1 As 1.71
63 O 0.5381 0.7908 0.2695  1 As 1.71
64 O 0.0381 0.7092 0.7305  1 As 1.71
65 O 0.4988 0.7332 0.7026  1 As 1.68
66 O 0.9988 0.7668 0.2974  1 As 1.68
67 O 0.5012 0.2332 0.7974  1 As 1.68
68 O 0.0012 0.2668 0.2026  1 As 1.68
69 O 0.5290 0.7174 0.5541  1 As 1.68
70 O 0.0290 0.7826 0.4459  1 As 1.68
71 O 0.4710 0.2174 0.9459  1 As 1.68
72 O 0.4556 0.9387 0.3964  1 As 1.69

Values from the calculation:
ΔH_f (0 K) (meV per atom): -2019
ρ (g/cm³): 2.96
Total DFT energy (no corrections) (eV per formula unit): -98.5
Symmetry: No. 19

Entry 3:
KAs3Pb4O12: optimized geometry, PBE.

Cell: 10.3304 10.3304 7.5260 Å, 90.00 90.00 120.00°
With the nearest neighbours (Å) after each atom.
Positions (direct):
1 K 0.6667 0.3333 0.4845  9 O 2.75-3.06
2 K 0.3333 0.6667 0.9845  9 O 2.75-3.06
3 As 0.9837 0.3743 0.2538  4 O 1.72-1.74
4 As 0.3906 0.0163 0.2538  4 O 1.72-1.74
5 As 0.6257 0.6094 0.2538  4 O 1.72-1.74
6 As 0.0163 0.6257 0.7538  4 O 1.72-1.74
7 As 0.6094 0.9837 0.7538  4 O 1.72-1.74
8 As 0.3743 0.3906 0.7538  4 O 1.72-1.74
9 Pb 0.7398 0.7400 0.7499  1 O 2.28
10 Pb 0.0002 0.2602 0.7499  1 O 2.28
11 Pb 0.2600 0.9998 0.7499  1 O 2.28
12 Pb 0.2602 0.2600 0.2499  1 O 2.28
13 Pb 0.9998 0.7398 0.2499  1 O 2.28
14 Pb 0.7400 0.0002 0.2499  1 O 2.28
15 Pb 0.3333 0.6667 0.4829  3 O 2.46
16 Pb 0.6667 0.3333 0.9829  3 O 2.46
17 O 0.3040 0.8248 0.2604  1 As 1.72
18 O 0.5208 0.6960 0.2604  1 As 1.72
19 O 0.1752 0.4792 0.2604  1 As 1.72
20 O 0.6960 0.1752 0.7604  1 As 1.72
21 O 0.4792 0.3040 0.7604  1 As 1.72
22 O 0.8248 0.5208 0.7604  1 As 1.72
23 O 0.6593 0.9119 0.9306  1 As 1.72
24 O 0.2526 0.3407 0.9306  1 As 1.72
25 O 0.0881 0.7474 0.9306  1 As 1.72
26 O 0.3407 0.0881 0.4306  1 As 1.72
27 O 0.7474 0.6593 0.4306  1 As 1.72
28 O 0.9119 0.2526 0.4306  1 As 1.72
29 O 0.3448 0.0851 0.0697  1 As 1.73
30 O 0.7403 0.6552 0.0697  1 As 1.73
31 O 0.9149 0.2597 0.0697  1 As 1.73
32 O 0.6552 0.9149 0.5697  1 As 1.73
33 O 0.2597 0.3448 0.5697  1 As 1.73
34 O 0.0851 0.7403 0.5697  1 As 1.73
35 O 0.9036 0.4876 0.2465  1 As 1.74
36 O 0.5840 0.0964 0.2465  1 As 1.74
37 O 0.5124 0.4160 0.2465  1 As 1.74
38 O 0.0964 0.5124 0.7465  1 As 1.74
39 O 0.4160 0.9036 0.7465  1 As 1.74
40 O 0.4876 0.5840 0.7465  1 As 1.74

Values from the calculation:
ΔH_f (0 K) (meV per atom): -1808
ρ (g/cm³): 6.13
Total DFT energy (no corrections) (eV per formula unit): -117.2
Symmetry: No. 173